VASP calculation (GGA+U) on crystalline VP5O15 at its relaxed geometry.

```
VP5O15
1.0
-2.1751 8.4609 8.9049
-9.2981 -2.7417 0.3338
1.2421 -3.8025 3.3666
O P V
30 10 2
Cartesian
-6.1600 1.0619 3.4605
-8.9476 -1.7872 2.0631
-3.8998 -3.9251 3.5187
-6.8305 3.7990 7.7283
-4.9507 3.8853 9.5361
-1.6957 1.9300 2.7975
-4.7905 -0.2664 6.3712
-1.1634 2.9748 7.9026
-5.3801 2.2739 6.2797
-8.9855 -1.1655 4.6230
-1.9478 2.9248 5.1424
-1.2996 3.5676 10.4660
-6.2683 -0.3379 8.8083
-9.3784 3.2006 11.5281
-7.4593 3.7059 10.0586
-9.2052 2.1824 9.1860
-1.2911 0.4991 6.4273
-6.4283 5.8862 9.1378
-3.4154 -1.8295 4.8979
-8.7774 1.3169 6.0994
-8.5368 -0.1988 9.8047
-8.1654 -1.0732 7.4209
-2.8155 -1.7866 2.5654
-4.0730 0.9471 9.1955
-5.3257 -1.8890 3.1215
-9.7714 4.6341 9.4395
-0.5467 -2.8917 3.0961
-0.9245 -0.4210 3.4125
-3.9266 2.2808 3.8128
-0.9191 -1.4033 1.0418
-9.8241 0.7267 9.5101
-3.9883 -2.4313 3.5157
-9.0053 3.5080 10.0830
-1.2584 -1.7082 2.4957
-0.3669 1.0485 3.0516
-6.1157 3.5770 6.2999
-8.8620 2.6853 5.4765
-6.2960 4.3958 9.1274
-2.5223 2.9528 3.7313
-4.0943 -1.5906 6.3405
-2.2064 8.3889 8.8758
-9.7013 -0.4566 6.4371
```

Calculated values
Theoretical density ... 2.35 g cm⁻³
DFT total energy ... -7.07 eV/atom
ΔE_f ... -2.382 eV per atom
Space group ... Pc